1.
Material: Mg2Si3
Method: DFT, PBE
State: optimized geometry

## Properties
Spin magnetization in μB per cell: 0.00
Space-group type: P-1 (2)
Energy relative to the elements in meV/atom: 215.4
E (MP2020) in eV per atom: -3.6799

a b c (Å): 4.0793 6.2210 16.4538
angles (deg): 80.56 87.53 78.91
Last column: nearest neighbours and their distance in Å.
Positions (direct):
Mg 0.8192 0.2667 0.9574  4 Si 2.80-2.87
Mg 0.0420 0.7308 0.5274  5 Si 2.67-2.95
Mg 0.3924 0.3060 0.7977  4 Si 2.63-2.91
Mg 0.6520 0.7576 0.7221  5 Si 2.70-2.91
Mg 0.9580 0.2692 0.4726  5 Si 2.67-2.95
Mg 0.1808 0.7333 0.0426  4 Si 2.80-2.87
Mg 0.3480 0.2424 0.2779  5 Si 2.70-2.91
Mg 0.6076 0.6940 0.2023  4 Si 2.63-2.91
Si 0.0543 0.9987 0.7781  3 Si 2.42-2.68, 2 Mg 2.63-2.71
Si 0.8645 0.3497 0.6797  3 Si 2.37-2.51
Si 0.3498 0.6443 0.8827  3 Si 2.46-2.68, 1 Mg 2.69
Si 0.3744 0.3431 0.6042  3 Si 2.35-2.41
Si 0.5505 0.0178 0.4273  2 Si 2.35-2.39
Si 0.2240 0.1397 0.0970  3 Si 2.42-2.50
Si 0.1355 0.6503 0.3203  3 Si 2.37-2.51
Si 0.9457 0.0013 0.2219  3 Si 2.42-2.68, 2 Mg 2.63-2.71
Si 0.6256 0.6569 0.3958  3 Si 2.35-2.41
Si 0.6502 0.3557 0.1173  3 Si 2.46-2.68, 1 Mg 2.69
Si 0.7760 0.8603 0.9030  3 Si 2.42-2.50
Si 0.4495 0.9822 0.5727  2 Si 2.35-2.39

2.
Material: Mg5Si6
Method: DFT, PBE
State: optimized geometry

## Properties
Spin magnetization in μB per cell: 0.00
Space-group type: P1 (1)
Energy relative to the elements in meV/atom: 130.3
E (MP2020) in eV per atom: -3.5564

a b c (Å): 5.5517 5.7051 13.2269
angles (deg): 98.82 99.38 92.01
Last column: nearest neighbours and their distance in Å.
Positions (direct):
Mg 0.1866 0.8414 0.0629  6 Si 2.78-3.07
Mg 0.1651 0.5506 0.3621  5 Si 2.71-3.01, 1 Mg 2.98
Mg 0.0211 0.8850 0.5727  6 Si 2.85-3.17
Mg 0.4686 0.1475 0.4685  4 Si 2.76-2.81
Mg 0.7440 0.6051 0.1623  5 Si 2.66-2.91, 1 Mg 2.93
Mg 0.3035 0.7143 0.8123  4 Si 2.67-2.90
Mg 0.8044 0.4805 0.6840  7 Si 2.74-2.92
Mg 0.9456 0.0054 0.3234  4 Si 2.61-2.91
Mg 0.4341 0.2500 0.9695  4 Si 2.76-2.95, 2 Mg 2.99-3.06
Mg 0.9093 0.3928 0.9114  5 Si 2.75-2.98, 2 Mg 2.99-3.06
Si 0.6324 0.7826 0.9873  2 Si 2.44-2.46, 2 Mg 2.66-2.67
Si 0.7954 0.1097 0.1288  3 Si 2.41-2.49
Si 0.9498 0.3172 0.4903  1 Si 2.38, 1 Mg 2.61
Si 0.5181 0.7556 0.5675  3 Si 2.52-2.73, 2 Mg 2.74-2.76
Si 0.1777 0.1813 0.7689  2 Si 2.49-2.62, 2 Mg 2.75-2.76
Si 0.1513 0.3567 0.1217  2 Si 2.41-2.46
Si 0.6731 0.6177 0.3831  4 Si 2.55-2.74, 2 Mg 2.80-2.82
Si 0.2856 0.4273 0.6286  3 Si 2.38-2.62
Si 0.5836 0.0743 0.7259  3 Si 2.49-2.52, 1 Mg 2.76
Si 0.5051 0.2638 0.2442  4 Si 2.40-2.55
Si 0.3971 0.8699 0.2702  2 Si 2.40-2.59
Si 0.8520 0.8712 0.8505  2 Si 2.44-2.49

3.
Material: Mg4Si3
Method: DFT, PBE
State: optimized geometry

## Properties
Spin magnetization in μB per cell: 0.00
Space-group type: P1 (1)
Energy relative to the elements in meV/atom: 58.8
E (MP2020) in eV per atom: -3.1808

a b c (Å): 5.5472 7.2189 7.5141
angles (deg): 108.51 95.23 106.75
Last column: nearest neighbours and their distance in Å.
Positions (direct):
Mg 0.9838 0.0537 0.5364  5 Si 2.72-2.95
Mg 0.3907 0.7251 0.3887  4 Si 2.76-2.95, 3 Mg 2.95-2.98
Mg 0.3965 0.9678 0.7940  5 Si 2.77-2.93, 3 Mg 2.98-3.00
Mg 0.8051 0.6202 0.6211  5 Si 2.76-3.07, 1 Mg 3.03
Mg 0.3448 0.3632 0.0472  4 Si 2.72-2.98, 3 Mg 2.95-3.00
Mg 0.7917 0.2276 0.2320  5 Si 2.79-3.03
Mg 0.8462 0.3886 0.8900  4 Si 2.77-2.84, 2 Mg 2.99-3.03
Mg 0.2034 0.9219 0.1424  6 Si 2.73-3.03, 2 Mg 2.95-3.00
Si 0.6239 0.7653 0.0115  3 Si 2.45-2.56
Si 0.2976 0.3429 0.4240  2 Si 2.40-2.45
Si 0.5372 0.1555 0.5310  1 Si 2.40
Si 0.2621 0.5508 0.7422  2 Si 2.45
Si 0.9228 0.0158 0.8871  1 Si 2.55, 7 Mg 2.72-2.84
Si 0.8441 0.6515 0.2522  1 Si 2.56, 3 Mg 2.75-2.84

4.
Material: Mg4Si3
Method: DFT, PBE
State: optimized geometry

## Properties
Spin magnetization in μB per cell: 0.00
Space-group type: I222 (23)
Energy relative to the elements in meV/atom: 50.7
E (MP2020) in eV per atom: -3.1889

a b c (Å): 7.6600 7.6600 7.6600
angles (deg): 134.25 122.47 76.43
Last column: nearest neighbours and their distance in Å.
Positions (direct):
Mg 0.2500 0.6614 0.0903  4 Si 2.73-3.03
Mg 0.7897 0.7897 0.0000  6 Si 2.79-2.82, 4 Mg 2.98-3.07
Mg 0.1970 0.6970 0.5000  6 Si 2.76-2.94, 2 Mg 2.98
Mg 0.2103 0.2103 0.0000  6 Si 2.79-2.82, 4 Mg 2.98-3.07
Mg 0.4289 0.3386 0.5886  4 Si 2.73-3.03
Mg 0.5711 0.1597 0.9097  4 Si 2.73-3.03
Mg 0.7500 0.8403 0.4114  4 Si 2.73-3.03
Mg 0.8030 0.3030 0.5000  6 Si 2.76-2.94, 2 Mg 2.98
Si 0.4376 0.8917 0.0525  7 Mg 2.73-3.03, 1 Si 2.77
Si 0.1608 0.1083 0.5459  7 Mg 2.73-3.03, 1 Si 2.77
Si 0.0000 0.2089 0.2089  3 Si 2.49-2.77, 2 Mg 2.73
Si 0.8392 0.3851 0.9475  7 Mg 2.73-3.03, 1 Si 2.77
Si 0.5624 0.6149 0.4541  7 Mg 2.73-3.03, 1 Si 2.77
Si 0.0000 0.7911 0.7911  3 Si 2.49-2.77, 2 Mg 2.73

5.
Material: Mg4Si7
Method: DFT, PBE
State: optimized geometry

## Properties
Spin magnetization in μB per cell: 0.00
Space-group type: Pm (6)
Energy relative to the elements in meV/atom: 173.8
E (MP2020) in eV per atom: -3.8606

a b c (Å): 4.3266 6.5714 13.6534
angles (deg): 88.33 90.00 90.00
Last column: nearest neighbours and their distance in Å.
Positions (direct):
Mg 0.5000 0.9131 0.9264  9 Si 2.70-3.02
Mg 0.5000 0.6180 0.5079  4 Si 2.59-2.87
Mg 0.0000 0.8078 0.3328  9 Si 2.88-3.12
Mg 0.0000 0.4302 0.6590  6 Si 2.85-2.97
Mg 0.5000 0.4169 0.8543  7 Si 2.74-3.02
Mg 0.0000 0.3773 0.1891  10 Si 2.92-3.24, 1 Mg 3.15
Mg 0.0000 0.2920 0.4174  8 Si 2.87-3.14, 1 Mg 3.15
Mg 0.0000 0.9280 0.5870  10 Si 2.98-3.27, 3 Mg 3.18-3.28
Si 0.0000 0.6174 0.9785  5 Si 2.45-2.68
Si 0.0000 0.2288 0.9764  4 Si 2.46-2.62
Si 0.5000 0.5310 0.0547  4 Si 2.40-2.46
Si 0.5000 0.7591 0.1891  4 Si 2.40-2.56
Si 0.5000 0.2373 0.5619  2 Si 2.35-2.37, 1 Mg 2.59
Si 0.5000 0.9917 0.4380  2 Si 2.37-2.42, 1 Mg 2.61
Si 0.5000 0.1616 0.0809  4 Si 2.44-2.62, 1 Mg 2.70
Si 0.0000 0.1145 0.8065  4 Si 2.46-2.48
Si 0.5000 0.7168 0.7110  3 Si 2.44-2.54, 1 Mg 2.74
Si 0.0000 0.9035 0.1146  6 Si 2.56-2.81
Si 0.5000 0.4975 0.3185  2 Si 2.43-2.52
Si 0.0000 0.7367 0.8071  4 Si 2.45-2.54
Si 0.5000 0.0876 0.7204  4 Si 2.35-2.47
Si 0.5000 0.1296 0.2720  3 Si 2.42-2.61

6.
Material: Mg2Si3
Method: DFT, PBE
State: optimized geometry

## Properties
Spin magnetization in μB per cell: 0.00
Space-group type: Cm (8)
Energy relative to the elements in meV/atom: 148.8
E (MP2020) in eV per atom: -3.7465

a b c (Å): 6.0414 6.0414 17.9977
angles (deg): 85.28 85.28 34.40
Last column: nearest neighbours and their distance in Å.
Positions (direct):
Mg 0.9142 0.9142 0.7969  7 Si 2.84-3.18
Mg 0.9830 0.9830 0.2097  8 Si 2.73-2.97
Mg 0.5295 0.5295 0.9519  4 Si 2.69-2.98
Mg 0.8629 0.8629 0.0609  6 Si 2.75-2.95
Mg 0.6629 0.6629 0.2963  8 Si 2.72-2.98
Mg 0.2520 0.2520 0.6932  6 Si 2.66-2.88
Mg 0.7850 0.7850 0.4438  6 Si 2.73-2.93
Mg 0.1270 0.1270 0.5507  6 Si 2.74-2.94, 1 Mg 3.05
Si 0.2705 0.2705 0.9663  2 Si 2.33-2.42
Si 0.1037 0.1037 0.0574  3 Si 2.42-2.49
Si 0.2292 0.2292 0.8416  3 Si 2.33-2.39
Si 0.6522 0.6522 0.1462  4 Si 2.49-2.57, 2 Mg 2.72-2.76
Si 0.3522 0.3522 0.3182  3 Si 2.51-2.59
Si 0.5605 0.5605 0.6769  3 Si 2.44-2.53
Si 0.5383 0.5383 0.4485  3 Si 2.47-2.49
Si 0.3752 0.3752 0.5482  3 Si 2.49-2.51
Si 0.9946 0.9946 0.3605  4 Si 2.47-2.59, 2 Mg 2.73
Si 0.9218 0.9218 0.6390  4 Si 2.51-2.53, 3 Mg 2.74-2.77
Si 0.6071 0.6071 0.8067  3 Si 2.39-2.44
Si 0.2934 0.2934 0.1871  3 Si 2.51-2.57

7.
Material: Mg4Si3
Method: DFT, PBE
State: optimized geometry

## Properties
Spin magnetization in μB per cell: 0.00
Space-group type: P1 (1)
Energy relative to the elements in meV/atom: 37.0
E (MP2020) in eV per atom: -3.2025

a b c (Å): 6.0543 6.9989 7.4983
angles (deg): 112.67 98.00 104.18
Last column: nearest neighbours and their distance in Å.
Positions (direct):
Mg 0.7726 0.6342 0.5310  5 Si 2.64-2.86, 1 Mg 2.94
Mg 0.1057 0.9288 0.0858  4 Si 2.68-2.80
Mg 0.7036 0.3583 0.7810  4 Si 2.74-3.02
Mg 0.9627 0.0917 0.4900  6 Si 2.72-2.97
Mg 0.3819 0.8205 0.4329  3 Si 2.68-2.80
Mg 0.8558 0.3142 0.1774  4 Si 2.64-2.75, 2 Mg 2.94
Mg 0.2959 0.4156 0.0140  5 Si 2.78-3.03
Mg 0.5598 0.8513 0.9918  5 Si 2.66-2.90, 1 Mg 2.94
Si 0.5349 0.1722 0.3618  1 Si 2.42, 1 Mg 2.69
Si 0.1570 0.5763 0.7114  2 Si 2.46-2.60, 2 Mg 2.69-2.72
Si 0.2430 0.9817 0.7693  2 Si 2.48-2.60, 2 Mg 2.68-2.75
Si 0.7838 0.6728 0.1818  7 Mg 2.64-2.86
Si 0.2841 0.3987 0.4101  2 Si 2.42-2.46, 1 Mg 2.70
Si 0.8593 0.0340 0.8117  1 Si 2.48, 5 Mg 2.64-2.76

8.
Material: Mg4Si7
Method: DFT, PBE
State: optimized geometry

## Properties
Spin magnetization in μB per cell: 0.00
Space-group type: P1 (1)
Energy relative to the elements in meV/atom: 160.3
E (MP2020) in eV per atom: -3.8741

a b c (Å): 6.8703 3.9915 14.9428
angles (deg): 99.08 103.63 88.72
Last column: nearest neighbours and their distance in Å.
Positions (direct):
Mg 0.7660 0.8508 0.0654  7 Si 2.74-3.06
Mg 0.6449 0.1037 0.4937  4 Si 2.69-2.97
Mg 0.8820 0.6730 0.6488  7 Si 2.75-3.02
Mg 0.3890 0.5198 0.3423  7 Si 2.82-3.09
Mg 0.2772 0.8984 0.1574  10 Si 2.86-3.14
Mg 0.6537 0.2393 0.8972  10 Si 2.79-3.09, 1 Mg 3.10
Mg 0.3830 0.6698 0.5808  7 Si 2.78-2.99
Mg 0.9180 0.5601 0.4210  8 Si 2.81-3.01, 2 Mg 3.07-3.12
Si 0.4030 0.3193 0.0355  4 Si 2.46-2.52
Si 0.0378 0.3546 0.0376  2 Si 2.43-2.52
Si 0.3450 0.7608 0.9353  4 Si 2.46-2.50
Si 0.9758 0.7642 0.9042  4 Si 2.47-2.73
Si 0.2420 0.0786 0.4457  2 Si 2.36-2.38
Si 0.0487 0.1242 0.5600  2 Si 2.38-2.42
Si 0.9487 0.2187 0.7964  4 Si 2.42-2.59
Si 0.9983 0.4229 0.1969  4 Si 2.43-2.50
Si 0.6577 0.9877 0.2996  3 Si 2.51-2.55
Si 0.4232 0.6701 0.7780  4 Si 2.42-2.55
Si 0.6214 0.2388 0.6923  2 Si 2.42-2.55
Si 0.6320 0.4212 0.1908  4 Si 2.46-2.55
Si 0.0216 0.9758 0.2963  4 Si 2.36-2.51
Si 0.2276 0.1519 0.7211  4 Si 2.42-2.47

> The lowest energy relative to the elements belongs to which entry?

number 7

> Which formula does entry 1 have?

Mg2Si3

> Look up the E (MP2020) of the second one.

-3.5564 eV per atom